Computed, not measured: a relaxed structure of TmAgP2Se6 at the meta-GGA r2SCAN level of DFT.

## Properties
E, eV/atom: -16.71
Magnetization, μB per atom: 0.000

a = 6.6047 Å, b = 6.6047 Å, c = 14.1686 Å
α = 90.00°, β = 90.00°, γ = 120.00°
Fractional coordinates of all 20 atoms:
Tm  0.0000  0.0000  0.7500
Tm  0.0000  0.0000  0.2500
Ag  0.3333  0.6667  0.7500
Ag  0.6667  0.3333  0.2500
P  0.6667  0.3333  0.6706
P  0.6667  0.3333  0.8294
P  0.3333  0.6667  0.3294
P  0.3333  0.6667  0.1706
Se  0.0223  0.3445  0.1247
Se  0.6555  0.6778  0.1247
Se  0.3222  0.9777  0.1247
Se  0.6555  0.9777  0.3753
Se  0.3222  0.3445  0.3753
Se  0.0223  0.6778  0.3753
Se  0.9777  0.6555  0.8753
Se  0.3445  0.3222  0.8753
Se  0.6778  0.0223  0.8753
Se  0.3445  0.0223  0.6247
Se  0.6778  0.6555  0.6247
Se  0.9777  0.3222  0.6247

Computed, not measured: a relaxed structure of SrAgP at the meta-GGA r2SCAN level of DFT.

## Properties
E, eV/atom: -16.03
Magnetization, μB per atom: 0.000

a = 4.4053 Å, b = 4.4053 Å, c = 8.3344 Å
α = 90.00°, β = 90.00°, γ = 120.00°
Fractional coordinates of all 6 atoms:
Sr  0.0000  0.0000  0.0000
Sr  0.0000  0.0000  0.5000
Ag  0.6667  0.3333  0.2500
Ag  0.3333  0.6667  0.7500
P  0.6667  0.3333  0.7500
P  0.3333  0.6667  0.2500

Computed, not measured: a relaxed structure of PmAg2Pb at the meta-GGA r2SCAN level of DFT.

## Properties
E, eV/atom: -32.46
Magnetization, μB per atom: 0.000

a = 5.0733 Å, b = 5.0749 Å, c = 5.0748 Å
α = 59.98°, β = 60.01°, γ = 60.01°
Fractional coordinates of all 4 atoms:
Pm  0.7500  0.7500  0.7500
Ag  0.5000  0.5000  0.5000
Ag  0.0000  0.0000  0.0000
Pb  0.2500  0.2500  0.2500

Computed, not measured: a relaxed structure of SmAgPb at the meta-GGA r2SCAN level of DFT.

## Properties
E, eV/atom: -36.35
Magnetization, μB per atom: 0.000

a = 4.8231 Å, b = 4.8231 Å, c = 7.6385 Å
α = 90.00°, β = 90.00°, γ = 120.00°
Fractional coordinates of all 6 atoms:
Sm  0.0000  0.0000  0.0009
Sm  0.0000  0.0000  0.5009
Ag  0.3333  0.6667  0.8132
Ag  0.6667  0.3333  0.3132
Pb  0.6667  0.3333  0.7189
Pb  0.3333  0.6667  0.2189